(1)
A plane-wave DFT calculation with GGA-PBE was carried out for a relaxed structure of MnTl2GeTe4.

Cell: 7.0226 7.0226 7.0226 Å, 104.31 104.31 120.38°
Sites, in units of the cell vectors:
1 Mn 0.5000 0.5000 0.0000
2 Tl 0.0000 0.5000 0.5000
3 Tl 0.5000 0.0000 0.5000
4 Ge 0.0000 0.0000 0.0000
5 Te 0.9331 0.9331 0.3399
6 Te 0.5933 0.5933 0.6601
7 Te 0.0669 0.4067 0.0000
8 Te 0.4067 0.0669 0.0000

The symmetry is No. 121. The value obtained for the total energy is -4.080 eV/atom. As for the calculated volume: 259.2 Å³ per cell. The energy of formation is -0.41 eV per atom. The calculation puts the maximum piezoelectric response at 0.475 C/m². The crystal system is tetragonal. As for the magnetization: 5.00 μB per cell.

=====

(2)
A plane-wave DFT calculation with GGA-PBE was carried out for a relaxed structure of Co4W.

Cell: 2.6236 2.6236 10.4431 Å, 90.00 97.22 120.00°
Sites, in units of the cell vectors:
1 Co 0.8097 0.4048 0.2145
2 Co 0.6025 0.8012 0.4037
3 Co 0.3975 0.1988 0.5963
4 Co 0.1903 0.5952 0.7855
5 W 0.0000 0.0000 0.0000

The symmetry is No. 166. The value obtained for the total energy is -8.064 eV/atom. As for the calculated volume: 61.6 Å³ per cell. The energy of formation is 0.21 eV per atom. The crystal system is trigonal. As for the magnetization: 5.63 μB per cell.

=====

(3)
A plane-wave DFT calculation with GGA-PBE was carried out for a relaxed structure of LiH6IO7.

Cell: 5.7610 5.8748 9.7828 Å, 102.93 94.80 114.50°
Sites, in units of the cell vectors:
1 Li 0.2491 0.2645 0.9915
2 Li 0.7509 0.7355 0.0085
3 H 0.8043 0.4589 0.7324
4 H 0.1957 0.5411 0.2676
5 H 0.2809 0.9409 0.7292
6 H 0.7191 0.0591 0.2708
7 H 0.3687 0.5929 0.5871
8 H 0.6313 0.4071 0.4129
9 H 0.9463 0.1959 0.5668
10 H 0.0537 0.8041 0.4332
11 H 0.7074 0.2686 0.9834
12 H 0.2926 0.7314 0.0166
13 H 0.6816 0.3670 0.1421
14 H 0.3184 0.6330 0.8579
15 I 0.8280 0.8911 0.7171
16 I 0.1720 0.1089 0.2829
17 O 0.2080 0.0602 0.7739
18 O 0.7920 0.9398 0.2261
19 O 0.6458 0.3811 0.0459
20 O 0.3542 0.6189 0.9541
21 O 0.4434 0.7440 0.6767
22 O 0.5566 0.2560 0.3233
23 O 0.8296 0.0667 0.8963
24 O 0.1704 0.9333 0.1037
25 O 0.8446 0.1829 0.6461
26 O 0.1554 0.8171 0.3539
27 O 0.8332 0.7033 0.5411
28 O 0.1668 0.2967 0.4589
29 O 0.8046 0.6126 0.8018
30 O 0.1954 0.3874 0.1982

The symmetry is No. 2. The value obtained for the total energy is -4.791 eV/atom. As for the calculated volume: 287.8 Å³ per cell. The energy of formation is -1.22 eV per atom. The crystal system is triclinic. Its energy above the most stable polymorph in this dataset is 0.0 meV per atom. As for the magnetization: 0.01 μB per cell.

=====

(4)
A plane-wave DFT calculation with GGA-PBE was carried out for a relaxed structure of SmAlCu4.

Cell: 5.2731 5.2731 3.9959 Å, 90.00 90.00 120.00°
Sites, in units of the cell vectors:
1 Sm 0.6667 0.3333 0.0000
2 Al 0.0000 0.0000 0.0000
3 Cu 0.3333 0.6667 0.0000
4 Cu 0.6642 0.8321 0.5000
5 Cu 0.1679 0.8321 0.5000
6 Cu 0.1679 0.3358 0.5000

The symmetry is No. 187. The value obtained for the total energy is -4.379 eV/atom. As for the calculated volume: 96.2 Å³ per cell. The energy of formation is -0.24 eV per atom. The crystal system is hexagonal. As for the magnetization: 0.00 μB per cell.